No. 1
Entry from Materials Project: ZrMn2H12O6F8 after structural relaxation (PBE+U).

Structure (extended XYZ):
```
58
Lattice="4.107 5.654 0.000 -4.107 5.654 0.000 0.000 4.628 11.678" Properties=species:S:1:pos:R:3 pbc="T T T"
H 3.305 7.959 4.146
H -1.858 8.537 10.220
H 1.502 12.806 10.358
H 1.858 6.222 4.381
H -0.649 13.161 11.054
H 1.502 5.444 7.159
H 0.192 8.745 11.526
H 1.858 7.400 1.458
H -2.499 7.605 6.213
H -0.649 5.090 6.463
H 2.499 5.290 0.374
H -0.192 7.191 0.151
H 3.305 5.663 1.693
H 0.649 2.775 0.624
H -2.499 10.646 11.304
H -1.858 9.714 7.297
H -0.192 6.431 5.687
H -3.305 7.977 7.532
H -1.502 3.130 1.320
H -3.305 10.273 9.985
H 0.192 9.505 5.990
H 0.649 10.847 5.215
H -1.502 10.492 4.519
H 2.499 8.332 5.465
Zr 1.914 9.125 8.758
Zr -1.914 6.811 2.919
F 0.246 8.682 7.483
F 0.561 2.552 3.198
F -1.206 8.790 2.486
F -0.561 4.866 9.037
F -2.629 7.046 0.919
F 1.206 7.146 9.192
F -0.246 6.368 1.644
F -0.561 13.384 8.480
F 2.629 9.360 6.758
F 0.561 11.070 2.641
F 2.629 8.890 10.759
F -0.246 7.254 4.195
F 0.246 9.568 10.034
F 1.206 11.104 8.325
F -1.206 4.832 3.353
F -2.629 6.576 4.920
O -2.417 8.065 7.094
O -0.164 5.960 6.564
O -2.417 10.186 10.423
O 0.164 9.976 5.114
O 2.417 5.751 1.255
O 0.164 3.646 0.725
O 1.758 8.371 1.630
O -1.758 10.685 7.469
O -0.164 12.290 10.952
O -1.758 7.565 10.048
O 1.758 5.251 4.209
O 2.417 7.871 4.584
Mn -0.909 11.371 9.228
Mn -0.909 6.879 8.288
Mn 0.909 4.565 2.450
Mn 0.909 9.057 3.389
```

Results
Calculated total energy, eV for the cell shown: -324.25
Space group: No. 15

No. 2
Entry from Materials Project: Li2V3CrO8 after structural relaxation (PBE+U).

Structure (extended XYZ):
```
14
Lattice="-1.661 5.610 -0.022 -5.281 -1.573 2.435 3.618 4.131 2.488" Properties=species:S:1:pos:R:3 pbc="T T T"
V -0.830 2.805 -0.011
V -0.831 1.279 2.461
V -1.661 4.084 2.450
O -1.800 7.080 4.283
O -0.921 5.833 1.789
O -0.981 4.292 4.288
O -1.523 1.088 0.617
O -3.243 5.140 3.104
O -0.080 3.028 1.796
O -2.402 2.335 3.111
O -2.342 3.876 0.612
Cr -1.661 5.610 -0.022
Li 0.979 4.871 1.233
Li 1.809 2.066 1.244
```

Results
ΔE to the lowest computed polymorph, eV/atom: 0.109
Space group: No. 2

No. 3
Entry from Materials Project: Na5Ni9O18 after structural relaxation (PBE+U).

Structure (extended XYZ):
```
32
Lattice="5.738 0.000 0.000 -0.709 7.445 0.000 -2.298 -1.796 8.083" Properties=species:S:1:pos:R:3 pbc="T T T"
Ni 0.602 -0.442 7.605
Ni 0.620 4.896 5.866
Ni 1.345 5.508 3.169
Ni 0.636 2.221 6.738
Ni 2.112 0.754 2.217
Ni 2.130 6.091 0.478
Ni 1.387 0.141 4.914
Ni 2.095 3.428 1.345
Ni 1.366 2.825 4.041
O 2.772 5.103 1.975
O 0.551 3.868 2.708
O 1.441 1.799 0.598
O 2.181 1.782 5.375
O 1.290 3.850 7.485
O -0.054 6.001 4.282
O -0.041 0.546 6.107
O 3.575 0.326 0.937
O -0.050 3.128 5.237
O -0.844 5.323 7.145
O 2.037 -0.795 6.429
O 3.662 2.992 0.036
O 2.786 -0.352 3.801
O 2.037 4.485 4.563
O 0.695 1.165 3.520
O 2.782 2.521 2.846
O -0.931 2.657 8.047
O 0.695 6.444 1.653
Na 0.000 0.000 0.000
Na -2.224 0.960 7.065
Na 4.956 4.689 1.017
Na -1.589 4.381 3.902
Na 4.320 1.269 4.180
```

Results
Calculated total energy, eV for the cell shown: -149.40
Space group: No. 2

No. 4
Entry from Materials Project: BaHo2NiO5 after structural relaxation (PBE+U).

Structure (extended XYZ):
```
9
Lattice="3.634 0.000 -1.075 -0.744 5.157 -2.513 -0.005 0.000 6.659" Properties=species:S:1:pos:R:3 pbc="T T T"
Ba 1.445 2.579 -1.794
Ni 0.000 0.000 0.000
O 2.630 3.143 2.209
O 3.017 0.461 3.516
O 1.817 0.000 -0.538
O -0.132 4.696 -0.446
O 0.255 2.014 0.862
Ho 0.482 4.108 1.629
Ho 2.403 1.049 1.441
```

Results
Calculated total energy, eV for the cell shown: -63.87
Space group: No. 71

No. 5
Entry from Materials Project: Ni3P3O11 after structural relaxation (PBE+U).

Structure (extended XYZ):
```
68
Lattice="-3.625 -8.027 3.487 8.865 -2.620 3.187 3.160 2.638 9.359" Properties=species:S:1:pos:R:3 pbc="T T T"
P 2.022 -1.053 1.755
P 2.645 -8.483 7.519
P 9.595 -2.529 12.718
P 5.756 0.475 8.514
P 6.379 -6.956 14.278
P 8.615 -2.519 7.461
P 2.374 -2.452 7.615
P 6.026 -5.556 8.418
P -1.195 -5.479 3.315
P 2.768 -3.962 5.188
P 5.633 -4.047 10.845
P -0.214 -5.489 8.572
Ni 4.596 -6.667 5.723
Ni 5.794 -8.718 8.439
Ni 2.607 0.709 7.594
Ni 0.562 -4.828 11.690
Ni 0.130 -2.595 3.777
Ni 3.805 -1.341 10.310
Ni 8.596 -3.683 9.813
Ni 3.072 -0.784 4.815
Ni 7.838 -3.181 4.342
Ni 8.271 -5.413 12.256
Ni -0.196 -4.326 6.220
Ni 5.328 -7.225 11.218
O 5.621 -7.643 13.183
O 0.938 -0.055 1.113
O 5.041 -2.703 11.118
O 6.064 -8.204 6.315
O 5.072 -5.239 11.607
O 5.628 -5.448 6.978
O 6.161 1.245 9.900
O 8.984 -3.799 13.314
O -0.775 -6.811 9.101
O 7.067 -5.634 13.876
O 2.780 -0.366 2.849
O 9.175 -1.197 6.931
O 3.343 -7.521 11.129
O 5.543 -6.830 9.143
O 7.620 -5.424 8.569
O 9.464 -2.432 11.170
O 5.164 -0.884 8.860
O 2.773 -2.560 9.055
O 2.945 -3.695 6.794
O 5.057 -0.488 4.904
O -1.064 -5.576 4.862
O 2.240 -9.254 6.132
O 7.530 -7.137 11.104
O 7.183 -4.106 11.098
O 3.236 -7.124 7.173
O 2.858 -1.178 6.890
O 0.871 -0.871 4.929
O 2.337 0.196 9.718
O 2.373 -4.132 11.930
O 0.701 -5.654 7.339
O 1.217 -3.902 4.935
O -0.584 -4.209 2.718
O 3.329 -2.770 4.426
O 7.699 -2.354 8.694
O 3.359 -5.306 4.914
O 5.456 -4.313 9.239
O 0.377 -4.567 9.676
O 8.024 -3.442 6.356
O 7.463 -7.953 14.920
O 4.549 1.296 7.930
O 0.780 -2.584 7.464
O 1.333 -2.374 2.157
O 3.851 -9.305 8.103
O 6.028 -3.876 4.103
```

Results
Calculated total energy, eV for the cell shown: -435.04
Space group: No. 14

No. 6
Entry from Materials Project: ZnP4W3O14 after structural relaxation (PBE+U).

Structure (extended XYZ):
```
44
Lattice="8.226 0.000 0.000 0.000 7.682 0.000 0.000 3.471 9.460" Properties=species:S:1:pos:R:3 pbc="T T T"
W 3.061 6.294 0.302
W 1.052 8.029 5.032
W 7.174 3.124 4.428
W 4.113 1.735 4.730
W 5.165 4.859 9.159
W 0.000 0.000 0.000
O 4.658 10.489 8.368
O 0.545 2.399 5.822
O 5.443 3.483 3.134
O 3.568 0.664 1.092
O 6.975 4.974 5.362
O 7.681 8.754 3.638
O 0.181 4.152 3.014
O 2.438 8.841 3.423
O 1.331 5.935 1.596
O 1.194 1.453 1.233
O 7.298 6.414 2.770
O 5.364 3.239 0.632
O 5.307 7.965 3.497
O 3.185 3.004 1.960
O 5.788 2.312 6.037
O 2.919 3.188 5.964
O 8.045 7.001 6.446
O 0.928 4.739 6.690
O 2.862 7.914 8.828
O 3.932 5.887 7.745
O 4.294 5.266 1.716
O 6.551 0.577 1.307
O 6.895 5.218 7.865
O 1.675 10.576 8.153
O 5.041 8.149 7.501
O 1.251 6.179 4.098
O 7.032 9.700 8.227
O 2.782 7.670 6.326
P 5.693 9.610 7.553
P 7.680 5.533 6.591
P 1.580 3.278 6.638
P 2.533 1.543 1.908
P 4.659 3.797 1.861
P 0.546 5.621 2.870
P 3.567 7.356 7.600
P 6.646 7.875 2.823
Zn 0.000 3.841 0.000
Zn 4.113 5.577 4.730
```

Results
Calculated total energy, eV for the cell shown: -304.85
Space group: No. 14

No. 7
Entry from Materials Project: MgMn6O8F4 after structural relaxation (PBE+U).

Structure (extended XYZ):
```
19
Lattice="5.146 -9.851 0.001 5.200 4.955 0.000 0.000 0.000 2.985" Properties=species:S:1:pos:R:3 pbc="T T T"
O 1.135 -1.195 1.519
O 8.338 -6.315 0.027
O 4.384 1.004 1.517
O 1.897 1.320 0.025
O 4.030 -3.719 1.520
O 5.979 -0.960 1.517
O 3.265 -6.234 0.026
O 7.171 -3.495 0.027
Mn 7.571 -2.127 1.519
Mn 2.582 -2.457 1.520
Mn 0.488 -0.162 0.027
Mn 2.791 2.169 1.518
Mn 5.181 0.022 0.024
Mn 4.676 -4.753 0.027
Mg 7.755 -4.904 1.521
F 6.885 1.450 0.029
F 5.874 -5.645 1.518
F 3.479 -1.409 0.028
F 9.636 -4.165 1.519
```

Results
ΔE to the lowest computed polymorph, eV/atom: 0.065
Space group: No. 10

No. 8
Entry from Materials Project: LiCrO2 after structural relaxation (PBE+U).

Structure (extended XYZ):
```
16
Lattice="2.824 -0.003 4.325 -4.380 2.526 0.849 -2.573 -5.024 1.677" Properties=species:S:1:pos:R:3 pbc="T T T"
O -3.835 -0.606 2.665
O 0.986 0.605 3.352
O -0.301 -1.907 4.191
O -0.995 -0.600 1.817
O -1.841 0.625 4.192
O -3.127 -1.887 5.030
O -2.548 1.906 1.826
O -2.282 -3.113 2.655
Li -1.287 -2.513 0.839
Li -4.119 -2.504 1.682
Li -2.833 0.008 0.843
Li 0.000 -0.001 0.000
Cr -3.346 -3.753 4.261
Cr -4.903 -1.253 4.272
Cr -2.060 -1.241 3.422
Cr -3.616 1.260 3.434
```

Results
ΔE to the lowest computed polymorph, eV/atom: 0.000